A plane-wave DFT calculation with GGA+U was carried out for crystalline MgFeSi2O6 at its relaxed geometry.

Results
Crystal system: orthorhombic
DFT total energy (eV/atom): -7.336
ΔE to the lowest computed polymorph (meV per atom): 0
Total moment (μB per formula unit): 4.00
Energy of formation (meV/atom): -2913

abc: 5.3042 18.5340 9.0517
angles: 90.00 90.00 90.00
With the nearest neighbours (Å) after each atom.
Space group Pbca (No. 61)
Asymmetric unit:
Mg1 0.1170 0.1247 0.1538 x8  6 O 2.06-2.20
Fe1 0.1229 0.1230 0.5136 x8  4 O 2.03-2.18
Si1 0.0622 0.7281 0.6605 x8  4 O 1.62-1.67
Si2 0.2105 0.0253 0.8361 x8  4 O 1.62-1.68
O1 0.0557 0.6840 0.1639 x8  1 Si 1.63
O2 0.0637 0.6883 0.5014 x8  1 Si 1.62
O3 0.0827 0.5520 0.7064 x8  2 Si 1.68
O4 0.1675 0.1974 0.7322 x8  2 Si 1.66-1.67
O5 0.2032 0.5659 0.9860 x8  1 Si 1.62
O6 0.2096 0.5630 0.3357 x8  1 Si 1.64